The following is a DFT calculation (PBE+U) of an optimized crystal structure of CoNiH24S2O20.

Lattice parameters (Å, degrees): 6.208 6.208 24.600 81.69 81.69 71.04
Fractional positions:
H1 0.354 0.965 0.423
H2 0.316 0.938 0.910
H3 0.646 0.035 0.577
H4 0.099 0.221 0.656
H5 0.517 0.071 0.237
H6 0.684 0.062 0.090
H7 0.713 0.432 0.299
H8 0.062 0.684 0.590
H9 0.272 0.701 0.932
H10 0.483 0.929 0.763
H11 0.938 0.316 0.410
H12 0.748 0.699 0.503
H13 0.965 0.354 0.923
H14 0.728 0.299 0.068
H15 0.000 0.325 0.158
H16 0.325 0.000 0.658
H17 0.193 0.670 0.201
H18 0.699 0.748 0.003
H19 0.936 0.736 0.189
H20 0.292 0.640 0.056
H21 0.264 0.064 0.311
H22 0.071 0.517 0.737
H23 0.221 0.099 0.156
H24 0.640 0.292 0.556
H25 0.035 0.646 0.077
H26 0.901 0.779 0.344
H27 0.807 0.330 0.799
H28 0.000 0.675 0.842
H29 0.299 0.728 0.568
H30 0.657 0.933 0.950
H31 0.701 0.272 0.432
H32 0.301 0.252 0.997
H33 0.670 0.193 0.701
H34 0.568 0.287 0.201
H35 0.343 0.067 0.050
H36 0.360 0.708 0.444
H37 0.929 0.483 0.263
H38 0.933 0.657 0.450
H39 0.067 0.343 0.550
H40 0.287 0.568 0.701
H41 0.252 0.301 0.497
H42 0.064 0.264 0.811
H43 0.432 0.713 0.799
H44 0.779 0.901 0.844
H45 0.736 0.936 0.689
H46 0.675 0.000 0.342
H47 0.330 0.807 0.299
H48 0.708 0.360 0.944
O1 0.826 0.623 0.135
O2 0.325 0.863 0.456
O3 0.585 0.577 0.571
O4 0.570 0.459 0.671
O5 0.377 0.174 0.365
O6 0.360 0.871 0.783
O7 0.968 0.272 0.781
O8 0.245 0.136 0.020
O9 0.069 0.530 0.383
O10 0.136 0.245 0.520
O11 0.728 0.032 0.719
O12 0.198 0.099 0.680
O13 0.459 0.570 0.171
O14 0.871 0.360 0.283
O15 0.423 0.415 0.929
O16 0.755 0.864 0.980
O17 0.032 0.728 0.219
O18 0.541 0.430 0.829
O19 0.577 0.585 0.071
O20 0.802 0.901 0.320
O21 0.200 0.870 0.930
O22 0.640 0.129 0.217
O23 0.863 0.325 0.956
O24 0.272 0.968 0.281
O25 0.530 0.069 0.883
O26 0.931 0.470 0.617
O27 0.099 0.198 0.180
O28 0.623 0.826 0.635
O29 0.470 0.931 0.117
O30 0.864 0.755 0.480
O31 0.675 0.137 0.544
O32 0.430 0.541 0.329
O33 0.800 0.130 0.070
O34 0.870 0.200 0.430
O35 0.415 0.423 0.429
O36 0.129 0.640 0.717
O37 0.174 0.377 0.865
O38 0.137 0.675 0.044
O39 0.901 0.802 0.820
O40 0.130 0.800 0.570
Co1 0.000 0.000 0.500
Co2 0.000 0.000 0.000
S1 0.323 0.418 0.376
S2 0.582 0.677 0.124
S3 0.677 0.582 0.624
S4 0.418 0.323 0.876
Ni1 0.051 0.949 0.750
Ni2 0.949 0.051 0.250

As for the space group: C2/c. Its total energy is -5.22 eV per atom. The calculation puts the formation enthalpy at 0 K at -1.39 eV/atom.



The following is a DFT calculation (PBE+U) of an optimized crystal structure of LiMn2O3F.

Lattice parameters (Å, degrees): 6.039 6.159 8.496 91.06 92.68 91.87
Fractional positions:
Mn1 0.251 0.250 0.751
Mn2 0.000 0.500 0.000
Mn3 0.749 0.250 0.250
Mn4 0.500 0.000 0.500
Mn5 0.000 0.000 0.500
Mn6 0.251 0.750 0.751
Mn7 0.749 0.750 0.249
Mn8 0.500 0.500 0.000
F1 0.522 0.009 0.765
F2 0.478 0.991 0.235
F3 0.020 0.510 0.264
F4 0.980 0.490 0.736
O1 0.258 0.209 0.520
O2 0.045 0.995 0.734
O3 0.742 0.791 0.480
O4 0.281 0.769 0.526
O5 0.242 0.289 0.980
O6 0.955 0.005 0.266
O7 0.457 0.503 0.766
O8 0.543 0.497 0.234
O9 0.758 0.711 0.020
O10 0.719 0.231 0.474
O11 0.780 0.270 0.025
O12 0.220 0.730 0.975
Li1 0.790 0.996 0.892
Li2 0.210 0.004 0.108
Li3 0.288 0.496 0.393
Li4 0.712 0.504 0.607

The energy above the most stable polymorph in this dataset comes out at 7 meV per atom. As for the space group: P-1. Its total energy is -6.76 eV per atom. The calculation puts the formation enthalpy at 0 K at -2.31 eV/atom.



The following is a DFT calculation (PBE+U) of an optimized crystal structure of Mg14NbFeO16.

Lattice parameters (Å, degrees): 8.590 8.590 4.303 90.00 90.00 90.00
Fractional positions:
Mg1 0.244 0.756 0.000
Mg2 0.756 0.000 0.500
Mg3 0.242 0.500 0.500
Mg4 0.000 0.500 0.000
Mg5 0.000 0.244 0.500
Mg6 0.244 0.000 0.500
Mg7 0.500 0.242 0.500
Mg8 0.758 0.500 0.500
Mg9 0.756 0.756 0.000
Mg10 0.000 0.756 0.500
Mg11 0.500 0.000 0.000
Mg12 0.756 0.244 0.000
Mg13 0.244 0.244 0.000
Mg14 0.500 0.758 0.500
O1 0.500 0.000 0.500
O2 0.749 0.749 0.500
O3 0.500 0.241 0.000
O4 0.759 0.500 0.000
O5 0.251 0.251 0.500
O6 0.000 0.000 0.500
O7 0.251 0.749 0.500
O8 0.000 0.500 0.500
O9 0.500 0.759 0.000
O10 0.000 0.253 0.000
O11 0.253 0.000 0.000
O12 0.500 0.500 0.500
O13 0.000 0.747 0.000
O14 0.747 0.000 0.000
O15 0.749 0.251 0.500
O16 0.241 0.500 0.000
Nb1 0.500 0.500 0.000
Fe1 0.000 0.000 0.000

The energy above the most stable polymorph in this dataset comes out at 54 meV per atom. As for the space group: P4/mmm. Its total energy is -6.08 eV per atom. The calculation puts the formation enthalpy at 0 K at -2.74 eV/atom.



The following is a DFT calculation (PBE+U) of an optimized crystal structure of Li7V5O12.

Lattice parameters (Å, degrees): 5.089 5.165 9.906 84.72 100.90 119.47
Fractional positions:
Li1 0.245 0.487 0.748
Li2 0.591 0.185 0.745
Li3 0.099 0.174 0.253
Li4 0.901 0.826 0.747
Li5 0.409 0.815 0.255
Li6 0.500 0.500 0.500
Li7 0.755 0.513 0.252
O1 0.479 0.152 0.388
O2 0.521 0.848 0.612
O3 0.041 0.833 0.117
O4 0.111 0.506 0.387
O5 0.172 0.152 0.611
O6 0.290 0.833 0.885
O7 0.959 0.167 0.883
O8 0.377 0.499 0.119
O9 0.623 0.501 0.881
O10 0.828 0.848 0.389
O11 0.889 0.494 0.613
O12 0.710 0.167 0.115
V1 0.000 0.500 0.000
V2 0.160 0.820 0.502
V3 0.667 0.834 0.000
V4 0.333 0.166 0.000
V5 0.840 0.180 0.498

The energy above the most stable polymorph in this dataset comes out at 0 meV per atom. As for the space group: P-1. Its total energy is -6.70 eV per atom. The calculation puts the formation enthalpy at 0 K at -2.48 eV/atom.